[1]
{"formula": "NaTa2Ti2SiP5O24", "functional": "PBE-GGA", "state": "relaxed", "ef_mev_per_atom": -3061, "magnetic_moment_mub_per_fu": 0.0, "cell": [[8.704, -0.001, 0.011], [-4.353, 7.539, -0.002], [0.030, 0.011, 22.520]], "species": ["P", "P", "P", "P", "P", "P", "P", "P", "P", "P", "P", "P", "P", "P", "P", "O", "O", "O", "O", "O", "O", "O", "O", "O", "O", "O", "O", "O", "O", "O", "O", "O", "O", "O", "O", "O", "O", "O", "O", "O", "O", "O", "O", "O", "O", "O", "O", "O", "O", "O", "O", "O", "O", "O", "O", "O", "O", "O", "O", "O", "O", "O", "O", "O", "O", "O", "O", "O", "O", "O", "O", "O", "O", "O", "O", "O", "O", "O", "O", "O", "O", "O", "O", "O", "O", "O", "O", "Na", "Na", "Na", "Ti", "Ti", "Ti", "Ti", "Ti", "Ti", "Ta", "Ta", "Ta", "Ta", "Ta", "Ta", "Si", "Si", "Si"], "frac_coords": [[0.952, 0.339, 0.582], [0.386, 0.048, 0.582], [0.994, 0.711, 0.750], [0.374, 0.328, 0.084], [0.720, 0.008, 0.750], [0.672, 0.048, 0.084], [0.049, 0.662, 0.417], [0.662, 0.614, 0.582], [0.714, 0.719, 0.251], [0.610, 0.950, 0.417], [0.051, 0.380, 0.916], [0.281, 0.995, 0.251], [0.287, 0.281, 0.750], [0.340, 0.389, 0.417], [0.953, 0.625, 0.084], [0.362, 0.863, 0.573], [0.529, 0.697, 0.975], [0.805, 0.977, 0.694], [0.134, 0.635, 0.076], [0.698, 0.163, 0.029], [0.192, 0.161, 0.089], [0.816, 0.846, 0.908], [0.834, 0.024, 0.090], [0.507, 0.145, 0.925], [0.170, 0.969, 0.194], [0.502, 0.362, 0.425], [0.830, 0.526, 0.742], [0.175, 0.482, 0.261], [0.134, 0.633, 0.361], [0.201, 0.168, 0.805], [0.534, 0.838, 0.757], [0.473, 0.306, 0.742], [0.171, 0.194, 0.694], [0.308, 0.838, 0.260], [0.833, 0.302, 0.528], [0.306, 0.469, 0.473], [0.500, 0.136, 0.638], [0.831, 0.034, 0.805], [0.532, 0.698, 0.260], [0.468, 0.166, 0.242], [0.199, 0.032, 0.306], [0.698, 0.530, 0.528], [0.163, 0.693, 0.473], [0.028, 0.196, 0.909], [0.302, 0.465, 0.757], [0.528, 0.837, 0.473], [0.862, 0.505, 0.139], [0.030, 0.194, 0.192], [0.137, 0.499, 0.573], [0.642, 0.137, 0.139], [0.368, 0.500, 0.361], [0.470, 0.167, 0.528], [0.646, 0.499, 0.924], [0.865, 0.362, 0.925], [0.298, 0.831, 0.975], [0.160, 0.692, 0.758], [0.966, 0.798, 0.805], [0.635, 0.500, 0.638], [0.798, 0.968, 0.409], [0.173, 0.199, 0.408], [0.502, 0.865, 0.077], [0.829, 0.800, 0.594], [0.973, 0.808, 0.090], [0.694, 0.169, 0.742], [0.468, 0.303, 0.029], [0.967, 0.160, 0.308], [0.640, 0.140, 0.425], [0.837, 0.533, 0.029], [0.861, 0.499, 0.425], [0.864, 0.364, 0.638], [0.501, 0.868, 0.361], [0.162, 0.466, 0.972], [0.028, 0.827, 0.407], [0.492, 0.358, 0.139], [0.025, 0.829, 0.694], [0.357, 0.493, 0.075], [0.971, 0.171, 0.593], [0.131, 0.496, 0.861], [0.497, 0.632, 0.858], [0.828, 0.309, 0.242], [0.501, 0.637, 0.573], [0.802, 0.829, 0.195], [0.691, 0.530, 0.242], [0.200, 0.029, 0.593], [0.160, 0.979, 0.908], [0.362, 0.860, 0.858], [0.834, 0.798, 0.306], [0.667, 0.333, 0.338], [0.666, 0.333, 0.829], [0.000, 0.999, 0.999], [0.002, 0.005, 0.149], [0.667, 0.334, 0.479], [0.000, 0.995, 0.856], [0.334, 0.667, 0.523], [0.330, 0.663, 0.310], [0.666, 0.333, 0.685], [0.998, 0.003, 0.360], [0.336, 0.671, 0.023], [0.000, 0.000, 0.642], [0.668, 0.334, 0.190], [0.665, 0.334, 0.976], [0.338, 0.669, 0.807], [0.622, 0.672, 0.915], [0.005, 0.288, 0.251], [0.328, 0.951, 0.915]]}



[2]
{"formula": "Na3Ta2Ti2Si3P3O24", "functional": "PBE-GGA", "state": "relaxed", "ef_mev_per_atom": -3083, "magnetic_moment_mub_per_fu": 0.0, "cell": [[8.803, 0.017, 0.009], [-4.386, 7.609, -0.010], [0.023, -0.015, 22.579]], "species": ["O", "O", "O", "O", "O", "O", "O", "O", "O", "O", "O", "O", "O", "O", "O", "O", "O", "O", "O", "O", "O", "O", "O", "O", "O", "O", "O", "O", "O", "O", "O", "O", "O", "O", "O", "O", "O", "O", "O", "O", "O", "O", "O", "O", "O", "O", "O", "O", "O", "O", "O", "O", "O", "O", "O", "O", "O", "O", "O", "O", "O", "O", "O", "O", "O", "O", "O", "O", "O", "O", "O", "O", "Na", "Na", "Na", "Na", "Na", "Na", "Na", "Na", "Na", "P", "P", "P", "P", "P", "P", "P", "P", "P", "Ti", "Ti", "Ti", "Ti", "Ti", "Ti", "Si", "Si", "Si", "Si", "Si", "Si", "Si", "Si", "Si", "Ta", "Ta", "Ta", "Ta", "Ta", "Ta"], "frac_coords": [[0.193, 0.168, 0.092], [0.826, 0.520, 0.741], [0.497, 0.362, 0.424], [0.032, 0.836, 0.692], [0.498, 0.364, 0.138], [0.365, 0.495, 0.361], [0.502, 0.642, 0.577], [0.967, 0.166, 0.589], [0.835, 0.307, 0.243], [0.520, 0.828, 0.757], [0.463, 0.301, 0.029], [0.170, 0.697, 0.474], [0.814, 0.836, 0.910], [0.155, 0.645, 0.076], [0.828, 0.807, 0.589], [0.534, 0.834, 0.477], [0.300, 0.833, 0.256], [0.471, 0.167, 0.526], [0.497, 0.860, 0.359], [0.135, 0.502, 0.859], [0.499, 0.637, 0.860], [0.205, 0.173, 0.805], [0.853, 0.498, 0.426], [0.179, 0.025, 0.591], [0.473, 0.165, 0.242], [0.363, 0.852, 0.576], [0.869, 0.364, 0.638], [0.972, 0.815, 0.092], [0.838, 0.803, 0.305], [0.639, 0.135, 0.139], [0.512, 0.688, 0.257], [0.030, 0.842, 0.409], [0.836, 0.033, 0.807], [0.303, 0.838, 0.972], [0.803, 0.832, 0.191], [0.307, 0.470, 0.757], [0.172, 0.198, 0.408], [0.836, 0.304, 0.529], [0.366, 0.501, 0.077], [0.696, 0.535, 0.528], [0.507, 0.860, 0.078], [0.691, 0.172, 0.742], [0.694, 0.161, 0.029], [0.169, 0.969, 0.195], [0.832, 0.026, 0.090], [0.864, 0.501, 0.143], [0.172, 0.690, 0.757], [0.503, 0.136, 0.640], [0.471, 0.308, 0.742], [0.695, 0.518, 0.242], [0.160, 0.473, 0.256], [0.971, 0.804, 0.808], [0.141, 0.499, 0.576], [0.203, 0.032, 0.305], [0.169, 0.474, 0.975], [0.030, 0.187, 0.910], [0.802, 0.971, 0.689], [0.973, 0.172, 0.305], [0.638, 0.491, 0.925], [0.641, 0.147, 0.425], [0.134, 0.634, 0.356], [0.028, 0.198, 0.194], [0.815, 0.979, 0.408], [0.172, 0.202, 0.694], [0.851, 0.354, 0.926], [0.303, 0.465, 0.473], [0.497, 0.136, 0.925], [0.533, 0.699, 0.978], [0.172, 0.976, 0.909], [0.640, 0.506, 0.638], [0.829, 0.530, 0.028], [0.364, 0.870, 0.861], [0.333, 0.667, 0.167], [0.000, 0.633, 0.251], [0.328, 0.662, 0.665], [0.666, 0.965, 0.584], [0.661, 0.328, 0.332], [0.666, 0.701, 0.083], [0.006, 0.006, 0.001], [0.668, 0.335, 0.833], [0.007, 0.001, 0.502], [0.333, 0.953, 0.918], [0.292, 0.004, 0.249], [0.960, 0.336, 0.583], [0.332, 0.384, 0.417], [0.666, 0.623, 0.584], [0.001, 0.288, 0.249], [0.375, 0.329, 0.084], [0.284, 0.284, 0.749], [0.666, 0.045, 0.085], [0.006, 0.994, 0.649], [0.342, 0.671, 0.315], [0.329, 0.674, 0.518], [0.669, 0.337, 0.185], [0.998, 0.997, 0.148], [0.324, 0.661, 0.018], [0.369, 0.041, 0.583], [0.703, 0.709, 0.249], [0.714, 0.998, 0.748], [0.963, 0.625, 0.085], [0.049, 0.666, 0.415], [0.618, 0.951, 0.417], [0.617, 0.666, 0.919], [0.048, 0.379, 0.917], [0.000, 0.712, 0.750], [0.667, 0.330, 0.688], [0.333, 0.666, 0.812], [0.997, 0.996, 0.355], [0.664, 0.332, 0.478], [0.992, 0.996, 0.855], [0.670, 0.338, 0.979]]}



[3]
{"formula": "Na7Y2Ta2Si5PO24", "functional": "PBE-GGA", "state": "relaxed", "ef_mev_per_atom": -3038, "magnetic_moment_mub_per_fu": 0.0, "cell": [[9.303, 0.002, 0.010], [-4.650, 8.072, -0.012], [0.025, -0.021, 22.532]], "species": ["O", "O", "O", "O", "O", "O", "O", "O", "O", "O", "O", "O", "O", "O", "O", "O", "O", "O", "O", "O", "O", "O", "O", "O", "O", "O", "O", "O", "O", "O", "O", "O", "O", "O", "O", "O", "O", "O", "O", "O", "O", "O", "O", "O", "O", "O", "O", "O", "O", "O", "O", "O", "O", "O", "O", "O", "O", "O", "O", "O", "O", "O", "O", "O", "O", "O", "O", "O", "O", "O", "O", "O", "Ta", "Ta", "Ta", "Ta", "Ta", "Ta", "Si", "Si", "Si", "Si", "Si", "Si", "Si", "Si", "Si", "Si", "Si", "Si", "Si", "Si", "Si", "Y", "Y", "Y", "Y", "Y", "Y", "Na", "Na", "Na", "Na", "Na", "Na", "Na", "Na", "Na", "Na", "Na", "Na", "Na", "Na", "Na", "Na", "Na", "Na", "Na", "Na", "Na", "P", "P", "P"], "frac_coords": [[0.142, 0.506, 0.862], [0.218, 0.193, 0.811], [0.842, 0.484, 0.422], [0.151, 0.471, 0.578], [0.190, 0.708, 0.755], [0.029, 0.835, 0.695], [0.323, 0.474, 0.082], [0.360, 0.493, 0.363], [0.185, 0.994, 0.914], [0.331, 0.450, 0.475], [0.184, 0.040, 0.588], [0.289, 0.808, 0.256], [0.656, 0.139, 0.745], [0.646, 0.534, 0.645], [0.834, 0.527, 0.026], [0.957, 0.141, 0.587], [0.033, 0.202, 0.188], [0.858, 0.342, 0.244], [0.807, 0.988, 0.414], [0.189, 0.479, 0.257], [0.468, 0.114, 0.643], [0.531, 0.877, 0.076], [0.320, 0.867, 0.978], [0.165, 0.971, 0.195], [0.139, 0.639, 0.361], [0.965, 0.821, 0.089], [0.858, 0.519, 0.747], [0.965, 0.178, 0.302], [0.475, 0.308, 0.029], [0.849, 0.046, 0.084], [0.982, 0.783, 0.812], [0.179, 0.142, 0.086], [0.661, 0.117, 0.142], [0.479, 0.336, 0.746], [0.625, 0.150, 0.421], [0.522, 0.669, 0.579], [0.893, 0.357, 0.645], [0.810, 0.844, 0.196], [0.849, 0.375, 0.922], [0.471, 0.168, 0.526], [0.520, 0.809, 0.756], [0.327, 0.851, 0.579], [0.820, 0.033, 0.803], [0.802, 0.789, 0.911], [0.162, 0.193, 0.694], [0.223, 0.025, 0.311], [0.207, 0.198, 0.412], [0.130, 0.458, 0.979], [0.485, 0.137, 0.245], [0.150, 0.675, 0.079], [0.006, 0.817, 0.414], [0.494, 0.857, 0.362], [0.517, 0.156, 0.924], [0.693, 0.524, 0.527], [0.543, 0.672, 0.971], [0.889, 0.532, 0.143], [0.664, 0.522, 0.245], [0.547, 0.874, 0.479], [0.829, 0.305, 0.530], [0.797, 0.966, 0.689], [0.126, 0.678, 0.479], [0.519, 0.378, 0.417], [0.511, 0.633, 0.859], [0.448, 0.332, 0.147], [0.362, 0.860, 0.861], [0.697, 0.172, 0.032], [0.621, 0.480, 0.920], [0.518, 0.707, 0.257], [0.805, 0.779, 0.312], [0.292, 0.481, 0.756], [0.856, 0.814, 0.587], [0.013, 0.195, 0.915], [0.673, 0.332, 0.481], [0.330, 0.670, 0.813], [0.329, 0.669, 0.314], [0.998, 0.998, 0.647], [0.666, 0.334, 0.981], [0.002, 0.998, 0.148], [0.027, 0.655, 0.418], [0.363, 0.039, 0.583], [0.676, 0.636, 0.584], [0.008, 0.708, 0.752], [0.291, 0.301, 0.752], [0.627, 0.971, 0.419], [0.360, 0.323, 0.086], [0.295, 0.991, 0.252], [0.008, 0.302, 0.247], [0.697, 0.990, 0.749], [0.699, 0.709, 0.252], [0.030, 0.375, 0.919], [0.346, 0.970, 0.919], [0.962, 0.322, 0.585], [0.960, 0.639, 0.084], [0.339, 0.666, 0.018], [0.999, 0.006, 0.351], [0.994, 0.002, 0.852], [0.666, 0.338, 0.182], [0.331, 0.666, 0.515], [0.668, 0.334, 0.683], [0.652, 0.961, 0.579], [0.316, 0.289, 0.912], [0.315, 0.345, 0.582], [0.709, 0.681, 0.412], [0.367, 0.017, 0.746], [0.984, 0.630, 0.245], [0.680, 0.333, 0.331], [0.036, 0.692, 0.578], [0.987, 0.682, 0.913], [0.981, 0.999, 0.997], [0.656, 0.018, 0.250], [0.336, 0.666, 0.662], [0.668, 0.318, 0.831], [0.320, 0.019, 0.412], [0.990, 0.005, 0.496], [0.341, 0.655, 0.162], [0.984, 0.349, 0.747], [0.369, 0.357, 0.245], [0.641, 0.627, 0.747], [0.301, 0.964, 0.074], [0.035, 0.349, 0.080], [0.621, 0.650, 0.915], [0.349, 0.377, 0.417], [0.682, 0.048, 0.084]]}